Record 1
# Ba4GaN3O

A relaxed Ba4GaN3O crystal (PBE, Materials Project).

Cell: 7.9874 8.0254 25.0116 Å, 90.00 90.00 90.00°
Atoms (fractional coordinates):
Ba 0.8340 0.3574 0.0632
Ba 0.3574 0.9811 0.5612
Ba 0.3340 0.3574 0.4368
Ba 0.9595 0.1912 0.3503
Ba 0.1660 0.6426 0.9368
Ba 0.4595 0.1912 0.1497
Ba 0.6426 0.4811 0.9388
Ba 0.8574 0.9811 0.9388
Ba 0.7634 0.5469 0.7335
Ba 0.0405 0.8088 0.6497
Ba 0.1660 0.8574 0.4368
Ba 0.7634 0.9531 0.2335
Ba 0.2366 0.0469 0.7665
Ba 0.8340 0.1426 0.5632
Ba 0.2634 0.9531 0.2665
Ba 0.5405 0.6912 0.3503
Ba 0.8574 0.5189 0.4388
Ba 0.1426 0.0189 0.0612
Ba 0.2634 0.5469 0.7665
Ba 0.4595 0.3088 0.6497
Ba 0.7366 0.0469 0.7335
Ba 0.0405 0.6912 0.1497
Ba 0.9595 0.3088 0.8503
Ba 0.1426 0.4811 0.5612
Ba 0.3574 0.5189 0.0612
Ba 0.5405 0.8088 0.8503
Ba 0.6660 0.6426 0.5632
Ba 0.2366 0.4531 0.2665
Ba 0.6426 0.0189 0.4388
Ba 0.7366 0.4531 0.2335
Ba 0.3340 0.1426 0.9368
Ba 0.6660 0.8574 0.0632
Ga 0.5156 0.2937 0.8285
Ga 0.4844 0.7937 0.6715
Ga 0.5156 0.2063 0.3285
Ga 0.0156 0.2937 0.6715
Ga 0.4844 0.7063 0.1715
Ga 0.9844 0.7937 0.8285
Ga 0.0156 0.2063 0.1715
Ga 0.9844 0.7063 0.3285
N 0.4912 0.8086 0.7472
N 0.3612 0.0744 0.3723
N 0.3612 0.4256 0.8723
N 0.0088 0.3086 0.7472
N 0.5088 0.3086 0.7528
N 0.3488 0.8610 0.1319
N 0.8612 0.0744 0.1277
N 0.6512 0.1390 0.8681
N 0.6512 0.3610 0.3681
N 0.6388 0.9256 0.6277
N 0.9912 0.8086 0.7528
N 0.1388 0.9256 0.8723
N 0.8488 0.6390 0.8681
N 0.6388 0.5744 0.1277
N 0.5088 0.1914 0.2528
N 0.0088 0.1914 0.2472
N 0.9912 0.6914 0.2528
N 0.1388 0.5744 0.3723
N 0.1512 0.1390 0.6319
N 0.4912 0.6914 0.2472
N 0.3488 0.6390 0.6319
N 0.1512 0.3610 0.1319
N 0.8488 0.8610 0.3681
N 0.8612 0.4256 0.6277
O 0.4743 0.7683 0.4747
O 0.0257 0.2683 0.4747
O 0.5257 0.2683 0.0253
O 0.5257 0.2317 0.5253
O 0.4743 0.7317 0.9747
O 0.9743 0.7317 0.5253
O 0.9743 0.7683 0.0253
O 0.0257 0.2317 0.9747

Energy of formation from the pure elements = -0.95 eV per atom
VASP energy = -5.387 eV/atom
SG = Pbca, No. 61
E (MP2020) = -5.4635 eV per atom
M_tot = 0.00 μB per formula unit

Record 2
# CsPb2Br5

A relaxed CsPb2Br5 crystal (PBE, Materials Project).

Cell: 10.0513 10.0513 10.0513 Å, 129.13 129.13 74.80°
Atoms (fractional coordinates):
Br 0.5000 0.5000 0.0000
Br 0.5292 0.0292 0.8072
Br 0.9708 0.7780 0.5000
Br 0.0292 0.2220 0.5000
Br 0.2780 0.4708 0.5000
Br 0.0000 0.0000 0.0000
Br 0.7220 0.5292 0.5000
Br 0.4708 0.9708 0.1928
Br 0.2220 0.7220 0.1928
Br 0.7780 0.2780 0.8072
Pb 0.6711 0.8289 0.5000
Pb 0.8289 0.3289 0.1579
Pb 0.3289 0.1711 0.5000
Pb 0.1711 0.6711 0.8421
Cs 0.7500 0.7500 0.0000
Cs 0.2500 0.2500 0.0000

Energy of formation from the pure elements = -1.50 eV per atom
VASP energy = -3.232 eV/atom
SG = I4/mcm, No. 140
E (MP2020) = -3.5657 eV per atom

Record 3
# AlFeN2

A relaxed AlFeN2 crystal (PBE, Materials Project).

Cell: 5.2701 4.3836 8.5242 Å, 90.00 143.97 114.58°
Atoms (fractional coordinates):
Fe 0.0000 0.0000 0.5000
Fe 0.0000 0.5000 0.7500
Al 0.0000 0.0000 0.0000
Al 0.0000 0.5000 0.2500
N 0.5000 0.9955 0.1250
N 0.5000 0.0045 0.6250
N 0.5090 0.5045 0.3795
N 0.4910 0.4955 0.8705

Energy of formation from the pure elements = -0.62 eV per atom
VASP energy = -7.661 eV/atom
SG = I-42d, No. 122
E (MP2020) = -7.8417 eV per atom
M_tot = 1.15 μB per formula unit